The following is a r2SCAN calculation of a geometry-optimized EuGa4 structure, from the Materials Project database.

Computed properties:
As for the raw total energy: -17.3657 eV per atom. For the size of the total moment, the calculation gives 6.953 μB per formula unit. The value obtained for the energy relative to the elements is -0.507 eV/atom.

abc: 4.3772 4.3772 10.5476
angles: 90.00 90.00 90.00
Space group I4/mmm (No. 139)
Asymmetric unit:
Eu1 0.0000 0.0000 0.0000 (multiplicity 2)
Ga1 0.0000 0.0000 0.3830 (multiplicity 4)
Ga2 0.0000 0.5000 0.2500 (multiplicity 4)

The following is a r2SCAN calculation of a geometry-optimized EuGa2 structure, from the Materials Project database.

Computed properties:
As for the raw total energy: -21.1043 eV per atom. For the size of the total moment, the calculation gives 7.047 μB per formula unit. The value obtained for the energy relative to the elements is -0.635 eV/atom.

abc: 4.2697 4.2697 4.5533
angles: 90.00 90.00 120.00
Space group P6/mmm (No. 191)
Asymmetric unit:
Eu1 0.0000 0.0000 0.0000 (multiplicity 1)
Ga1 0.3333 0.6667 0.5000 (multiplicity 2)

The following is a r2SCAN calculation of a geometry-optimized EuGa2 structure, from the Materials Project database.

Computed properties:
As for the raw total energy: -21.0999 eV per atom. For the size of the total moment, the calculation gives 7.087 μB per formula unit. The value obtained for the energy relative to the elements is -0.631 eV/atom.

abc: 4.5574 7.5542 7.6728
angles: 90.00 90.00 90.00
Space group Imma (No. 74)
Asymmetric unit:
Eu1 0.0000 0.2500 0.0444 (multiplicity 4)
Ga1 0.0000 0.0618 0.6610 (multiplicity 8)

The following is a r2SCAN calculation of a geometry-optimized Eu2Ga9Ir3 structure, from the Materials Project database.

Computed properties:
As for the raw total energy: -24.7495 eV per atom. For the size of the total moment, the calculation gives 13.790 μB per formula unit. The value obtained for the energy relative to the elements is -0.671 eV/atom.

abc: 13.0228 7.5748 9.7280
angles: 90.00 90.00 90.00
Space group Cmcm (No. 63)
Asymmetric unit:
Eu1 0.1646 0.1667 0.2500 (multiplicity 8)
Ga1 0.0000 0.1307 0.7500 (multiplicity 4)
Ga2 0.0000 0.3360 0.0594 (multiplicity 8)
Ga3 0.1033 0.4384 0.7500 (multiplicity 8)
Ga4 0.1653 0.1692 0.5726 (multiplicity 16)
Ir1 0.0000 0.0000 0.0000 (multiplicity 4)
Ir2 0.1704 0.5000 0.0000 (multiplicity 8)

The following is a r2SCAN calculation of a geometry-optimized LiEu2Ga7 structure, from the Materials Project database.

Computed properties:
As for the raw total energy: -16.4777 eV per atom. For the size of the total moment, the calculation gives 13.921 μB per formula unit. The value obtained for the energy relative to the elements is -0.525 eV/atom.

abc: 4.2834 4.2834 10.8639
angles: 90.00 90.00 90.00
Space group P-4m2 (No. 115)
Asymmetric unit:
Li1 0.0000 0.0000 0.0000 (multiplicity 1)
Eu1 0.0000 0.5000 0.2548 (multiplicity 2)
Ga1 0.0000 0.0000 0.5000 (multiplicity 1)
Ga2 0.0000 0.5000 0.6374 (multiplicity 2)
Ga3 0.0000 0.5000 0.8666 (multiplicity 2)
Ga4 0.5000 0.5000 0.0000 (multiplicity 1)
Ga5 0.5000 0.5000 0.5000 (multiplicity 1)

The following is a r2SCAN calculation of a geometry-optimized EuMg2Ga2 structure, from the Materials Project database.

Computed properties:
As for the raw total energy: -14.3634 eV per atom. For the size of the total moment, the calculation gives 6.908 μB per formula unit. The value obtained for the energy relative to the elements is -0.414 eV/atom.

abc: 4.4474 4.4474 11.6238
angles: 90.00 90.00 90.00
Space group I4/mmm (No. 139)
Asymmetric unit:
Eu1 0.0000 0.0000 0.0000 (multiplicity 2)
Mg1 0.0000 0.5000 0.2500 (multiplicity 4)
Ga1 0.0000 0.0000 0.3944 (multiplicity 4)